DFT (PBE) results for a geometry-optimized TlHg6S4Br5 structure.

Cell lengths 11.246, 11.246, 11.246 Å; angles 99.37, 99.37, 132.40 degrees
Fractional coordinates of all 32 atoms:
Tl  0.250  0.750  0.500
Tl  0.750  0.250  0.500
Hg  0.061  0.200  0.786
Hg  0.200  0.414  0.139
Hg  0.269  0.641  0.911
Hg  0.275  0.061  0.861
Hg  0.359  0.269  0.628
Hg  0.414  0.275  0.214
Hg  0.586  0.725  0.786
Hg  0.641  0.731  0.372
Hg  0.725  0.939  0.139
Hg  0.731  0.359  0.089
Hg  0.800  0.586  0.861
Hg  0.939  0.800  0.214
S  0.036  0.364  0.930
S  0.106  0.036  0.672
S  0.364  0.434  0.328
S  0.434  0.106  0.070
S  0.566  0.894  0.930
S  0.636  0.566  0.672
S  0.894  0.964  0.328
S  0.964  0.636  0.070
Br  0.000  0.000  0.000
Br  0.072  0.673  0.744
Br  0.187  0.431  0.617
Br  0.327  0.072  0.399
Br  0.431  0.813  0.244
Br  0.500  0.500  0.000
Br  0.569  0.187  0.756
Br  0.673  0.928  0.601
Br  0.813  0.569  0.383
Br  0.928  0.327  0.256

* energy relative to the elements: -1039 kJ/mol of formula units
* density: 6.7 Mg/m³
* energy: -70.00 eV for the cell shown